# 1
First-principles (PBE+U) data for a geometry-optimized WO2 structure, as listed in the Materials Project.

Output
MP2020-corrected energy ... -27.9 eV/f.u.
Volume ... 15.3 Å³ per atom
E_form ... -1696 meV per atom
DFT total energy ... -265.561 eV for the cell shown

Cell: 6.484 6.484 15.032 Å, 90.42 90.42 60.59°
Fractional coordinates of all 36 atoms:
W 0.000 0.000 0.000
W 0.000 0.000 0.387
W 0.016 0.493 0.492
W 0.164 0.164 0.818
W 0.168 0.671 0.826
W 0.349 0.828 0.171
W 0.493 0.016 0.492
W 0.494 0.494 0.491
W 0.668 0.668 0.704
W 0.671 0.168 0.826
W 0.825 0.825 0.172
W 0.828 0.349 0.171
O 0.130 0.730 0.098
O 0.135 0.135 0.094
O 0.184 0.184 0.556
O 0.189 0.636 0.555
O 0.274 0.861 0.905
O 0.332 0.332 0.419
O 0.339 0.339 0.880
O 0.341 0.831 0.421
O 0.508 0.508 0.757
O 0.515 0.984 0.229
O 0.515 0.994 0.751
O 0.519 0.519 0.232
O 0.636 0.189 0.555
O 0.669 0.669 0.567
O 0.673 0.673 0.099
O 0.730 0.130 0.098
O 0.828 0.828 0.422
O 0.831 0.341 0.421
O 0.861 0.274 0.905
O 0.861 0.861 0.908
O 0.984 0.515 0.229
O 0.985 0.985 0.756
O 0.994 0.515 0.751
O 0.996 0.996 0.251


# 2
First-principles (PBE+U) data for a geometry-optimized WO3 structure, as listed in the Materials Project.

Output
MP2020-corrected energy ... -36.5 eV/f.u.
Volume ... 15.7 Å³ per atom
E_form ... -2180 meV per atom
DFT total energy ... -180.142 eV for the cell shown

Cell: 7.513 7.513 7.696 Å, 90.00 90.00 120.00°
Fractional coordinates of all 24 atoms:
W 0.000 0.482 0.250
W 0.000 0.518 0.750
W 0.482 0.000 0.250
W 0.482 0.482 0.750
W 0.518 0.000 0.750
W 0.518 0.518 0.250
O 0.000 0.500 0.000
O 0.000 0.500 0.500
O 0.210 0.426 0.750
O 0.210 0.784 0.250
O 0.216 0.426 0.250
O 0.216 0.790 0.750
O 0.426 0.210 0.750
O 0.426 0.216 0.250
O 0.500 0.000 0.000
O 0.500 0.000 0.500
O 0.500 0.500 0.000
O 0.500 0.500 0.500
O 0.574 0.784 0.750
O 0.574 0.790 0.250
O 0.784 0.210 0.250
O 0.784 0.574 0.750
O 0.790 0.216 0.750
O 0.790 0.574 0.250


# 3
First-principles (PBE+U) data for a geometry-optimized WO3 structure, as listed in the Materials Project.

Output
MP2020-corrected energy ... -35.6 eV/f.u.
Volume ... 18.1 Å³ per atom
E_form ... -1944 meV per atom
DFT total energy ... -727.017 eV for the cell shown

Cell: 11.902 12.079 12.654 Å, 95.03 91.53 91.66°
Fractional coordinates of all 100 atoms:
W 0.000 0.000 0.000
W 0.001 0.573 0.007
W 0.019 0.151 0.357
W 0.087 0.470 0.745
W 0.124 0.678 0.241
W 0.181 0.996 0.241
W 0.218 0.697 0.604
W 0.243 0.110 0.841
W 0.370 0.506 0.890
W 0.390 0.858 0.423
W 0.423 0.654 0.168
W 0.458 0.267 0.738
W 0.469 0.804 0.910
W 0.484 0.264 0.022
W 0.486 0.150 0.482
W 0.523 0.649 0.553
W 0.527 0.374 0.390
W 0.677 0.021 0.038
W 0.699 0.484 0.173
W 0.736 0.650 0.927
W 0.799 0.914 0.782
W 0.801 0.049 0.520
W 0.814 0.779 0.521
W 0.962 0.310 0.123
W 0.992 0.228 0.718
O 0.000 0.604 0.164
O 0.001 0.550 0.838
O 0.026 0.859 0.983
O 0.050 0.014 0.143
O 0.056 0.004 0.363
O 0.064 0.234 0.471
O 0.082 0.747 0.592
O 0.095 0.367 0.160
O 0.102 0.128 0.747
O 0.108 0.334 0.802
O 0.118 0.657 0.375
O 0.126 0.826 0.225
O 0.133 0.060 0.938
O 0.143 0.615 0.007
O 0.158 0.544 0.642
O 0.167 0.151 0.281
O 0.225 0.506 0.840
O 0.263 0.627 0.206
O 0.263 0.751 0.729
O 0.276 0.814 0.509
O 0.280 0.998 0.143
O 0.287 0.941 0.345
O 0.292 0.993 0.773
O 0.304 0.230 0.754
O 0.338 0.854 0.944
O 0.341 0.157 0.466
O 0.359 0.153 0.940
O 0.365 0.622 0.549
O 0.381 0.569 0.042
O 0.385 0.373 0.960
O 0.395 0.402 0.339
O 0.413 0.647 0.861
O 0.417 0.748 0.316
O 0.420 0.239 0.139
O 0.437 0.432 0.771
O 0.459 0.775 0.111
O 0.484 0.989 0.443
O 0.492 0.147 0.639
O 0.494 0.800 0.521
O 0.500 0.852 0.787
O 0.512 0.314 0.531
O 0.536 0.211 0.356
O 0.545 0.256 0.855
O 0.550 0.580 0.195
O 0.558 0.513 0.474
O 0.559 0.641 0.685
O 0.568 0.914 0.998
O 0.585 0.377 0.070
O 0.596 0.700 0.955
O 0.606 0.153 0.023
O 0.633 0.403 0.288
O 0.669 0.117 0.511
O 0.676 0.700 0.511
O 0.677 0.013 0.174
O 0.704 0.996 0.864
O 0.724 0.555 0.044
O 0.728 0.549 0.821
O 0.740 0.905 0.446
O 0.769 0.585 0.258
O 0.769 0.992 0.660
O 0.773 0.785 0.858
O 0.816 0.380 0.152
O 0.839 0.004 0.030
O 0.839 0.788 0.667
O 0.867 0.110 0.403
O 0.893 0.227 0.815
O 0.893 0.677 0.984
O 0.898 0.683 0.454
O 0.909 0.146 0.606
O 0.909 0.918 0.506
O 0.931 0.974 0.836
O 0.948 0.231 0.248
O 0.962 0.424 0.007
O 0.972 0.189 0.029
O 0.981 0.379 0.659


# 4
First-principles (PBE+U) data for a geometry-optimized WO3 structure, as listed in the Materials Project.

Output
MP2020-corrected energy ... -36.5 eV/f.u.
Volume ... 14.5 Å³ per atom
E_form ... -2183 meV per atom
DFT total energy ... -60.069 eV for the cell shown

Cell: 3.885 3.885 7.682 Å, 90.00 90.00 90.02°
Fractional coordinates of all 8 atoms:
W 0.034 0.966 0.750
W 0.966 0.034 0.250
O 0.000 0.000 0.000
O 0.000 0.000 0.500
O 0.012 0.484 0.750
O 0.484 0.012 0.250
O 0.516 0.988 0.750
O 0.988 0.516 0.250


# 5
First-principles (PBE+U) data for a geometry-optimized WO2 structure, as listed in the Materials Project.

Output
MP2020-corrected energy ... -27.4 eV/f.u.
Volume ... 15.0 Å³ per atom
E_form ... -1502 meV per atom
DFT total energy ... -86.197 eV for the cell shown

Cell: 6.732 6.732 6.732 Å, 52.82 52.82 52.82°
Fractional coordinates of all 12 atoms:
W 0.000 0.000 0.000
W 0.363 0.363 0.886
W 0.363 0.886 0.363
W 0.886 0.363 0.363
O 0.115 0.115 0.612
O 0.115 0.612 0.115
O 0.116 0.116 0.116
O 0.162 0.646 0.646
O 0.601 0.601 0.601
O 0.612 0.115 0.115
O 0.646 0.162 0.646
O 0.646 0.646 0.162


# 6
First-principles (PBE+U) data for a geometry-optimized WO3 structure, as listed in the Materials Project.

Output
MP2020-corrected energy ... -35.0 eV/f.u.
Volume ... 16.6 Å³ per atom
E_form ... -1796 meV per atom
DFT total energy ... -728.856 eV for the cell shown

Cell: 11.670 11.999 12.093 Å, 101.26 93.61 91.48°
Fractional coordinates of all 100 atoms:
W 0.000 0.000 0.000
W 0.000 0.433 0.747
W 0.045 0.766 0.445
W 0.146 0.498 0.055
W 0.149 0.813 0.067
W 0.179 0.186 0.955
W 0.220 0.044 0.504
W 0.255 0.544 0.367
W 0.284 0.301 0.722
W 0.363 0.884 0.696
W 0.384 0.011 0.222
W 0.405 0.653 0.984
W 0.407 0.572 0.663
W 0.415 0.278 0.306
W 0.461 0.743 0.302
W 0.547 0.943 0.971
W 0.654 0.178 0.391
W 0.673 0.583 0.680
W 0.683 0.569 0.114
W 0.725 0.788 0.490
W 0.729 0.141 0.097
W 0.744 0.318 0.877
W 0.787 0.877 0.787
W 0.833 0.387 0.467
W 0.946 0.492 0.288
O 0.018 0.468 0.150
O 0.022 0.895 0.120
O 0.049 0.737 0.579
O 0.053 0.470 0.923
O 0.075 0.048 0.859
O 0.104 0.484 0.366
O 0.107 0.132 0.489
O 0.109 0.666 0.087
O 0.109 0.874 0.939
O 0.114 0.908 0.443
O 0.128 0.108 0.069
O 0.157 0.411 0.734
O 0.175 0.226 0.806
O 0.179 0.337 0.039
O 0.187 0.690 0.405
O 0.233 0.527 0.209
O 0.243 0.962 0.635
O 0.249 0.907 0.177
O 0.275 0.751 0.979
O 0.282 0.534 0.996
O 0.307 0.164 0.229
O 0.308 0.168 0.612
O 0.311 0.038 0.385
O 0.315 0.390 0.365
O 0.316 0.570 0.527
O 0.322 0.151 0.963
O 0.327 0.734 0.695
O 0.342 0.414 0.647
O 0.358 0.817 0.383
O 0.393 0.317 0.827
O 0.393 0.586 0.818
O 0.400 0.707 0.154
O 0.411 0.607 0.346
O 0.420 0.988 0.072
O 0.422 0.953 0.838
O 0.471 0.888 0.606
O 0.481 0.908 0.258
O 0.482 0.340 0.208
O 0.502 0.791 0.961
O 0.507 0.127 0.272
O 0.520 0.272 0.436
O 0.536 0.487 0.611
O 0.538 0.576 0.018
O 0.541 0.683 0.695
O 0.583 0.115 0.015
O 0.603 0.810 0.395
O 0.605 0.639 0.233
O 0.631 0.281 0.776
O 0.632 0.064 0.456
O 0.650 0.936 0.845
O 0.669 0.944 0.070
O 0.686 0.537 0.809
O 0.698 0.650 0.518
O 0.699 0.365 0.381
O 0.700 0.877 0.621
O 0.706 0.429 0.998
O 0.720 0.116 0.253
O 0.735 0.286 0.148
O 0.762 0.470 0.599
O 0.762 0.677 0.075
O 0.770 0.193 0.938
O 0.779 0.717 0.732
O 0.796 0.227 0.479
O 0.802 0.514 0.212
O 0.871 0.884 0.922
O 0.875 0.354 0.804
O 0.876 0.812 0.452
O 0.878 0.081 0.082
O 0.882 0.961 0.729
O 0.887 0.533 0.443
O 0.919 0.346 0.326
O 0.958 0.373 0.594
O 0.977 0.576 0.753
O 0.981 0.656 0.317
O 0.986 0.129 0.902


# 7
First-principles (PBE+U) data for a geometry-optimized WO3 structure, as listed in the Materials Project.

Output
MP2020-corrected energy ... -36.6 eV/f.u.
Volume ... 14.5 Å³ per atom
E_form ... -2191 meV per atom
DFT total energy ... -120.264 eV for the cell shown

Cell: 3.884 7.735 7.697 Å, 90.00 90.00 90.00°
Fractional coordinates of all 16 atoms:
W 0.029 0.012 0.250
W 0.029 0.488 0.750
W 0.971 0.512 0.250
W 0.971 0.988 0.750
O 0.000 0.000 0.000
O 0.000 0.000 0.500
O 0.000 0.500 0.000
O 0.000 0.500 0.500
O 0.001 0.247 0.750
O 0.001 0.253 0.250
O 0.494 0.503 0.250
O 0.494 0.997 0.750
O 0.506 0.003 0.250
O 0.506 0.497 0.750
O 0.999 0.747 0.750
O 0.999 0.753 0.250


# 8
First-principles (PBE+U) data for a geometry-optimized WO3 structure, as listed in the Materials Project.

Output
MP2020-corrected energy ... -35.6 eV/f.u.
Volume ... 17.9 Å³ per atom
E_form ... -1946 meV per atom
DFT total energy ... -727.216 eV for the cell shown

Cell: 11.706 12.399 12.452 Å, 95.87 90.25 94.53°
Fractional coordinates of all 100 atoms:
W 0.000 0.000 0.000
W 0.003 0.768 0.807
W 0.051 0.903 0.562
W 0.054 0.404 0.869
W 0.072 0.606 0.098
W 0.117 0.377 0.396
W 0.135 0.212 0.196
W 0.259 0.073 0.815
W 0.278 0.878 0.398
W 0.353 0.591 0.413
W 0.353 0.834 0.638
W 0.370 0.356 0.863
W 0.458 0.656 0.810
W 0.461 0.429 0.170
W 0.478 0.183 0.296
W 0.580 0.043 0.753
W 0.633 0.262 0.977
W 0.681 0.692 0.594
W 0.682 0.973 0.014
W 0.739 0.042 0.366
W 0.764 0.760 0.316
W 0.793 0.693 0.023
W 0.802 0.070 0.608
W 0.851 0.501 0.437
W 0.863 0.368 0.696
O 0.003 0.495 0.398
O 0.007 0.315 0.961
O 0.022 0.296 0.285
O 0.029 0.326 0.734
O 0.036 0.140 0.080
O 0.041 0.904 0.081
O 0.047 0.878 0.705
O 0.084 0.548 0.953
O 0.087 0.309 0.509
O 0.094 0.506 0.185
O 0.134 0.761 0.871
O 0.138 0.943 0.431
O 0.148 0.033 0.913
O 0.174 0.096 0.250
O 0.175 0.714 0.130
O 0.185 0.113 0.706
O 0.201 0.826 0.568
O 0.216 0.400 0.868
O 0.230 0.506 0.458
O 0.234 0.309 0.330
O 0.246 0.270 0.120
O 0.285 0.928 0.749
O 0.293 0.727 0.365
O 0.308 0.212 0.892
O 0.337 0.930 0.286
O 0.342 0.726 0.751
O 0.364 0.525 0.272
O 0.381 0.329 0.725
O 0.381 0.709 0.547
O 0.387 0.921 0.508
O 0.391 0.431 0.039
O 0.397 0.144 0.405
O 0.414 0.520 0.843
O 0.417 0.117 0.178
O 0.431 0.082 0.776
O 0.473 0.336 0.291
O 0.481 0.550 0.464
O 0.502 0.894 0.682
O 0.506 0.734 0.926
O 0.525 0.331 0.897
O 0.559 0.315 0.103
O 0.570 0.656 0.700
O 0.573 0.530 0.181
O 0.594 0.945 0.121
O 0.600 0.960 0.881
O 0.622 0.092 0.621
O 0.625 0.121 0.309
O 0.641 0.167 0.837
O 0.663 0.129 0.033
O 0.671 0.746 0.462
O 0.687 0.890 0.313
O 0.700 0.585 0.971
O 0.716 0.381 0.714
O 0.726 0.713 0.175
O 0.728 0.821 0.994
O 0.750 0.568 0.555
O 0.751 0.998 0.725
O 0.759 0.959 0.494
O 0.762 0.340 0.977
O 0.774 0.393 0.365
O 0.781 0.154 0.481
O 0.785 0.775 0.669
O 0.813 0.619 0.361
O 0.842 0.014 0.044
O 0.844 0.209 0.681
O 0.860 0.056 0.288
O 0.890 0.427 0.567
O 0.895 0.704 0.907
O 0.902 0.818 0.306
O 0.909 0.464 0.821
O 0.918 0.647 0.107
O 0.943 0.915 0.875
O 0.957 0.024 0.586
O 0.958 0.797 0.506
O 0.992 0.659 0.704